First-principles (PBE with a Hubbard U) data for crystalline YW3O8 at its relaxed geometry, as listed in the Materials Project.

a = 5.4469 Å, b = 5.8563 Å, c = 10.9711 Å
α = 90.00°, β = 117.30°, γ = 90.00°
With the nearest neighbours (Å) after each atom.
Space group P2/c (No. 13)
Symmetry-distinct sites (fractional):
Y 0.0000 0.1738 0.2500  6 O 2.15-2.39
W 0.2544 0.3492 0.0019  6 O 2.04-2.23
W 0.5000 0.1589 0.7500  6 O 1.95-2.11
O 0.2011 0.3929 0.6186  3 W 2.09-2.23
O 0.2400 0.0962 0.1298  2 W 2.06-2.07, 1 Y 2.29
O 0.2998 0.1413 0.8580  2 W 1.95-2.10
O 0.3165 0.3881 0.3973  2 W 2.04-2.09, 1 Y 2.15

## Properties
Its crystal system is monoclinic. The total energy is -7.94 eV per atom. The total moment comes out at 10.001 μB/cell. As for the polymorph energy (0 for the lowest one): 0.000 eV/atom. The calculation puts the energy of formation from the pure elements at -2.43 eV per atom.

=====

First-principles (PBE with a Hubbard U) data for crystalline ZnW2O4 at its relaxed geometry, as listed in the Materials Project.

a = 3.2028 Å, b = 10.3473 Å, c = 10.4822 Å
α = 90.00°, β = 90.00°, γ = 90.00°
With the nearest neighbours (Å) after each atom.
Space group Pbcm (No. 57)
Symmetry-distinct sites (fractional):
Zn 0.0341 0.1450 0.2500  4 O 2.01-2.15
W 0.3015 0.6186 0.5737  6 O 2.17-2.25
O 0.1930 0.2500 0.0000  4 W 2.23-2.25
O 0.1976 0.5180 0.1110  1 Zn 2.10, 3 W 2.17-2.22
O 0.4374 0.7275 0.7500  2 Zn 2.01-2.15, 2 W 2.21

## Properties
Its crystal system is orthorhombic. The total energy is -6.48 eV per atom. The total moment comes out at 24.000 μB/cell. As for the polymorph energy (0 for the lowest one): 0.168 eV/atom. The calculation puts the energy of formation from the pure elements at -1.43 eV per atom.

=====

First-principles (PBE with a Hubbard U) data for crystalline ZnW2O4 at its relaxed geometry, as listed in the Materials Project.

a = 3.2918 Å, b = 7.5916 Å, c = 7.8644 Å
α = 81.41°, β = 79.83°, γ = 79.44°
With the nearest neighbours (Å) after each atom.
Space group P1 (No. 1)
Symmetry-distinct sites (fractional):
Zn 0.0000 0.0000 0.0000  1 O 1.99
Zn 0.3745 0.1187 0.2162  1 O 1.99
W 0.0435 0.8771 0.5770  6 O 2.13-2.23
W 0.3451 0.2494 0.6384  6 O 2.13-2.23
W 0.5412 0.5615 0.9222  6 O 1.99-2.21
W 0.8521 0.5648 0.2929  6 O 1.98-2.20
O 0.1223 0.4225 0.8412  3 W 2.05-2.16
O 0.2685 0.7048 0.3738  3 W 2.06-2.16
O 0.4545 0.4240 0.1799  3 W 2.13-2.20, 1 Zn 2.35
O 0.5158 0.0454 0.4555  1 Zn 1.99, 3 W 2.19-2.23
O 0.5395 0.7451 0.7139  3 W 1.99-2.14
O 0.8493 0.3816 0.5012  3 W 1.98-2.14
O 0.8726 0.0812 0.7595  1 Zn 1.99, 3 W 2.19-2.23
O 0.9384 0.7045 0.0345  3 W 2.14-2.21, 1 Zn 2.26

## Properties
Its crystal system is triclinic. The total energy is -6.64 eV per atom. The total moment comes out at 10.000 μB/cell. As for the polymorph energy (0 for the lowest one): 0.007 eV/atom. The calculation puts the energy of formation from the pure elements at -1.59 eV per atom.

=====

First-principles (PBE with a Hubbard U) data for crystalline ZnWO4 at its relaxed geometry, as listed in the Materials Project.

a = 7.2276 Å, b = 13.5764 Å, c = 5.3194 Å
α = 90.00°, β = 90.00°, γ = 90.00°
With the nearest neighbours (Å) after each atom.
Space group Cmce (No. 64)
Symmetry-distinct sites (fractional):
Zn 0.2500 0.1729 0.2500  3 O 2.09-2.26
W 0.0000 0.0925 0.6959  6 O 1.84-2.05
O 0.0000 0.0945 0.0424  1 W 1.84
O 0.0000 0.1915 0.4409  1 W 1.91, 2 Zn 2.09
O 0.1618 0.0000 0.5000  2 W 2.01
O 0.2500 0.1603 0.7500  2 W 2.05, 1 Zn 2.26

## Properties
Its crystal system is orthorhombic. The total energy is -6.17 eV per atom. The total moment comes out at 0.000 μB/cell. As for the polymorph energy (0 for the lowest one): 0.354 eV/atom. The calculation puts the energy of formation from the pure elements at -1.70 eV per atom.

=====

First-principles (PBE with a Hubbard U) data for crystalline ZnWO4 at its relaxed geometry, as listed in the Materials Project.

a = 6.5223 Å, b = 13.3499 Å, c = 4.8808 Å
α = 90.00°, β = 131.60°, γ = 90.00°
With the nearest neighbours (Å) after each atom.
Space group C2/c (No. 15)
Symmetry-distinct sites (fractional):
Zn 0.0000 0.1154 0.2500  4 O 1.97-2.04
W 0.0000 0.4173 0.7500  4 O 1.82-1.95
O 0.2202 0.4564 0.2605  1 W 1.95, 1 Zn 2.04
O 0.2360 0.3331 0.7859  1 W 1.82, 1 Zn 1.97

## Properties
Its crystal system is monoclinic. The total energy is -6.48 eV per atom. The total moment comes out at 0.001 μB/cell. As for the polymorph energy (0 for the lowest one): 0.041 eV/atom. The calculation puts the energy of formation from the pure elements at -2.01 eV per atom.

=====

First-principles (PBE with a Hubbard U) data for crystalline ZnWO3 at its relaxed geometry, as listed in the Materials Project.

a = 5.3840 Å, b = 7.9407 Å, c = 5.3305 Å
α = 90.00°, β = 90.00°, γ = 90.00°
With the nearest neighbours (Å) after each atom.
Space group Pnma (No. 62)
Symmetry-distinct sites (fractional):
Zn 0.0191 0.2500 0.0184  4 O 2.03-2.09
W 0.0000 0.0000 0.5000  6 O 2.02-2.15
O 0.1047 0.7500 0.6146  2 Zn 2.07-2.09, 2 W 2.15
O 0.1766 0.5686 0.1627  2 W 2.02-2.11, 1 Zn 2.03

## Properties
Its crystal system is orthorhombic. The total energy is -6.36 eV per atom. The total moment comes out at 8.000 μB/cell. The calculation puts the energy of formation from the pure elements at -1.85 eV per atom.

=====

First-principles (PBE with a Hubbard U) data for crystalline Zn2W3O8 at its relaxed geometry, as listed in the Materials Project.

a = 6.3539 Å, b = 6.3539 Å, c = 9.3611 Å
α = 90.00°, β = 90.00°, γ = 120.00°
With the nearest neighbours (Å) after each atom.
Space group P6_3mc (No. 186)
Symmetry-distinct sites (fractional):
Zn 0.3333 0.6667 0.0000  3 O 2.06
Zn 0.3333 0.6667 0.3612  4 O 2.01-2.15
W 0.1647 0.3295 0.7045  6 O 2.07-2.14
O 0.0000 0.0000 0.3129  3 W 2.08
O 0.0270 0.5135 0.8280  1 Zn 2.01, 2 W 2.12
O 0.1669 0.3338 0.1012  1 Zn 2.06, 2 W 2.07
O 0.3333 0.6667 0.5909  3 W 2.14, 1 Zn 2.15

## Properties
Its crystal system is hexagonal. The total energy is -6.56 eV per atom. The total moment comes out at 11.992 μB/cell. As for the polymorph energy (0 for the lowest one): 0.000 eV/atom. The calculation puts the energy of formation from the pure elements at -1.78 eV per atom.

=====

First-principles (PBE with a Hubbard U) data for crystalline ZnW2O4 at its relaxed geometry, as listed in the Materials Project.

a = 9.7265 Å, b = 3.2227 Å, c = 10.9776 Å
α = 90.00°, β = 90.00°, γ = 90.00°
With the nearest neighbours (Å) after each atom.
Space group Pnma (No. 62)
Symmetry-distinct sites (fractional):
Zn 0.2468 0.2500 0.1483  5 O 2.10-2.35
W 0.0449 0.2500 0.3742  6 O 2.13-2.23
W 0.1089 0.2500 0.9038  6 O 2.14-2.25
O 0.0930 0.7500 0.7765  1 Zn 2.10, 3 W 2.13-2.14
O 0.1009 0.2500 0.5705  3 W 2.22-2.23, 2 Zn 2.35
O 0.1131 0.7500 0.0472  3 W 2.22-2.25, 2 Zn 2.35
O 0.1806 0.7500 0.3271  3 W 2.15-2.21

## Properties
Its crystal system is orthorhombic. The total energy is -6.45 eV per atom. The total moment comes out at 23.998 μB/cell. As for the polymorph energy (0 for the lowest one): 0.200 eV/atom. The calculation puts the energy of formation from the pure elements at -1.40 eV per atom.

=====

First-principles (PBE with a Hubbard U) data for crystalline ZnWO4 at its relaxed geometry, as listed in the Materials Project.

a = 7.7522 Å, b = 11.0106 Å, c = 5.3944 Å
α = 90.00°, β = 90.00°, γ = 90.00°
With the nearest neighbours (Å) after each atom.
Space group Cmce (No. 64)
Symmetry-distinct sites (fractional):
Zn 0.2500 0.1401 0.2500  5 O 2.09-2.19
W 0.0000 0.1083 0.7345  6 O 1.91-2.10
O 0.0000 0.0798 0.1168  2 W 2.09-2.22, 1 O 2.16, 2 Zn 2.17
O 0.0000 0.2207 0.4645  1 W 1.91
O 0.1517 0.0000 0.5000  2 W 2.10, 2 Zn 2.19
O 0.2500 0.1704 0.7500  2 W 2.06, 1 Zn 2.09

## Properties
Its crystal system is orthorhombic. The total energy is -6.11 eV per atom. The total moment comes out at 0.001 μB/cell. As for the polymorph energy (0 for the lowest one): 0.421 eV/atom. The calculation puts the energy of formation from the pure elements at -1.63 eV per atom.

=====

First-principles (PBE with a Hubbard U) data for crystalline Zn2W3O8 at its relaxed geometry, as listed in the Materials Project.

a = 11.5306 Å, b = 5.9110 Å, c = 5.0037 Å
α = 90.00°, β = 109.52°, γ = 90.00°
With the nearest neighbours (Å) after each atom.
Space group C2/m (No. 12)
Symmetry-distinct sites (fractional):
Zn 0.1870 0.0000 0.1379  4 O 1.96-1.99
W 0.0000 0.2715 0.5000  6 O 2.01-2.14
W 0.0000 0.5000 0.0000  6 O 2.07-2.22
O 0.0973 0.0000 0.7232  1 Zn 1.99, 2 W 2.06
O 0.1095 0.2561 0.2615  1 Zn 1.96, 2 W 2.01-2.07
O 0.1324 0.5000 0.7647  1 Zn 1.97, 2 W 2.14

## Properties
Its crystal system is monoclinic. The total energy is -6.45 eV per atom. The total moment comes out at 0.000 μB/cell. As for the polymorph energy (0 for the lowest one): 0.108 eV/atom. The calculation puts the energy of formation from the pure elements at -1.67 eV per atom.

=====

First-principles (PBE with a Hubbard U) data for crystalline ZnW2O4 at its relaxed geometry, as listed in the Materials Project.

a = 3.1662 Å, b = 10.4826 Å, c = 10.3445 Å
α = 90.00°, β = 90.00°, γ = 90.00°
With the nearest neighbours (Å) after each atom.
Space group Cmcm (No. 63)
Symmetry-distinct sites (fractional):
Zn 0.0000 0.1105 0.2500  2 O 2.06
W 0.0000 0.3692 0.0735  6 O 2.17-2.23
O 0.0000 0.0000 0.0000  4 W 2.23
O 0.0000 0.2677 0.6128  3 W 2.17-2.20
O 0.0000 0.4847 0.2500  2 Zn 2.06, 2 W 2.19

## Properties
Its crystal system is orthorhombic. The total energy is -6.45 eV per atom. The total moment comes out at 24.003 μB/cell. As for the polymorph energy (0 for the lowest one): 0.198 eV/atom. The calculation puts the energy of formation from the pure elements at -1.40 eV per atom.

=====

First-principles (PBE with a Hubbard U) data for crystalline ZnW2O4 at its relaxed geometry, as listed in the Materials Project.

a = 11.2155 Å, b = 6.3797 Å, c = 15.5163 Å
α = 90.00°, β = 91.38°, γ = 90.00°
With the nearest neighbours (Å) after each atom.
Space group Cm (No. 8)
Symmetry-distinct sites (fractional):
Zn 0.0000 0.0000 0.0000  4 O 2.08-2.09
Zn 0.9997 0.0000 0.2441  4 O 2.06-2.12
Zn 0.1605 0.5000 0.6656  4 O 2.08
Zn 0.1629 0.5000 0.2854  6 O 2.12-2.29
Zn 0.1654 0.5000 0.9141  4 O 2.07-2.08
Zn 0.3244 0.0000 0.5816  4 O 2.05-2.09
W 0.0048 0.5000 0.1233  6 O 2.16-2.20
W 0.0743 0.2500 0.4559  6 O 2.15-2.21
W 0.1627 0.0000 0.7899  6 O 2.19-2.20
W 0.2511 0.2528 0.1249  6 O 2.18-2.22
W 0.3235 0.5000 0.4548  6 O 2.18-2.21
W 0.3299 0.0000 0.3332  4 O 2.10-2.12
W 0.3325 0.0000 0.9573  6 O 2.19-2.21
W 0.4129 0.2491 0.7903  6 O 2.19-2.20
W 0.4916 0.5000 0.6230  6 O 2.19-2.20
O 0.9996 0.0000 0.8658  1 Zn 2.08, 3 W 2.20
O 0.0142 0.5000 0.3672  1 Zn 2.12, 3 W 2.12-2.20
O 0.0715 0.2356 0.7093  1 Zn 2.08, 3 W 2.19-2.20
O 0.0913 0.2598 0.2030  2 Zn 2.06-2.14, 2 W 2.18-2.19
O 0.1458 0.0000 0.5390  1 Zn 2.09, 3 W 2.19
O 0.1612 0.5000 0.5317  1 Zn 2.08, 3 W 2.20
O 0.1671 0.5000 0.0478  1 Zn 2.07, 3 W 2.18-2.19
O 0.1786 0.0000 0.0416  1 Zn 2.09, 3 W 2.19-2.21
O 0.2328 0.2533 0.3812  3 W 2.10-2.18, 1 Zn 2.29
O 0.2537 0.2364 0.8701  1 Zn 2.08, 3 W 2.19-2.20
O 0.3216 0.5000 0.2089  2 Zn 2.06-2.16, 2 W 2.18
O 0.3262 0.0000 0.7141  1 Zn 2.05, 3 W 2.19-2.20
O 0.3376 0.5000 0.7080  1 Zn 2.08, 3 W 2.20
O 0.3443 0.0000 0.1976  4 W 2.11-2.22
O 0.4108 0.2366 0.0437  1 Zn 2.08, 3 W 2.19-2.22
O 0.4135 0.2631 0.5357  1 Zn 2.09, 3 W 2.19-2.21
O 0.4878 0.0000 0.8721  1 Zn 2.08, 3 W 2.19-2.21
O 0.4886 0.5000 0.3801  1 Zn 2.12, 3 W 2.19-2.21

## Properties
Its crystal system is monoclinic. The total energy is -6.56 eV per atom. The total moment comes out at 72.001 μB/cell. As for the polymorph energy (0 for the lowest one): 0.090 eV/atom. The calculation puts the energy of formation from the pure elements at -1.51 eV per atom.

=====

Question: What is the formula in the seventh record?
Answer: Zn2W3O8